DFT (PBE-GGA) results for Mg3B2H9SO13F after structural relaxation.

MP2020-corrected energy	-6.150	eV per atom
symmetry	Pnma, No. 62
size of the total moment	0.00	μB/atom
excess energy over the best structure of this formula in the dataset	0	meV per atom

abc: 9.0101 10.1914 13.2416
angles: 90.00 90.00 90.00
Last column: nearest neighbours and their distance in Å.
Sites, in units of the cell vectors:
Mg1 0.6583 0.9409 0.2500  4 O 1.97-2.09, 1 F 2.00
Mg2 0.1583 0.5591 0.2500  4 O 1.97-2.09, 1 F 2.00
Mg3 0.3417 0.0591 0.7500  4 O 1.97-2.09, 1 F 2.00
Mg4 0.8417 0.4409 0.7500  4 O 1.97-2.09, 1 F 2.00
Mg5 0.6151 0.1224 0.6064  4 O 1.99-2.15, 1 F 1.99
Mg6 0.1151 0.3776 0.8936  4 O 1.99-2.15, 1 F 1.99
Mg7 0.3849 0.8776 0.1064  4 O 1.99-2.15, 1 F 1.99
Mg8 0.8849 0.6224 0.3936  4 O 1.99-2.15, 1 F 1.99
Mg9 0.3849 0.8776 0.3936  4 O 1.99-2.15, 1 F 1.99
Mg10 0.8849 0.6224 0.1064  4 O 1.99-2.15, 1 F 1.99
Mg11 0.6151 0.1224 0.8936  4 O 1.99-2.15, 1 F 1.99
Mg12 0.1151 0.3776 0.6064  4 O 1.99-2.15, 1 F 1.99
B1 0.8026 0.3621 0.5148  3 O 1.35-1.41
B2 0.3026 0.1379 0.9852  3 O 1.35-1.41
B3 0.1974 0.6379 0.0148  3 O 1.35-1.41
B4 0.6974 0.8621 0.4852  3 O 1.35-1.41
B5 0.1974 0.6379 0.4852  3 O 1.35-1.41
B6 0.6974 0.8621 0.0148  3 O 1.35-1.41
B7 0.8026 0.3621 0.9852  3 O 1.35-1.41
B8 0.3026 0.1379 0.5148  3 O 1.35-1.41
H1 0.6304 0.7036 0.3596  1 O 0.98
H2 0.1304 0.7964 0.1404  1 O 0.98
H3 0.3696 0.2964 0.8596  1 O 0.98
H4 0.8696 0.2036 0.6404  1 O 0.98
H5 0.3696 0.2964 0.6404  1 O 0.98
H6 0.8696 0.2036 0.8596  1 O 0.98
H7 0.6304 0.7036 0.1404  1 O 0.98
H8 0.1304 0.7964 0.3596  1 O 0.98
H9 0.6201 0.2932 0.4419  1 O 1.02
H10 0.1201 0.2068 0.0581  1 O 1.02
H11 0.3799 0.7068 0.9419  1 O 1.02
H12 0.8799 0.7932 0.5581  1 O 1.02
H13 0.3799 0.7068 0.5581  1 O 1.02
H14 0.8799 0.7932 0.9419  1 O 1.02
H15 0.6201 0.2932 0.0581  1 O 1.02
H16 0.1201 0.2068 0.4419  1 O 1.02
H17 0.8347 0.3822 0.1399  1 O 1.02
H18 0.3347 0.1178 0.3601  1 O 1.02
H19 0.1653 0.6178 0.6399  1 O 1.02
H20 0.6653 0.8822 0.8601  1 O 1.02
H21 0.1653 0.6178 0.8601  1 O 1.02
H22 0.6653 0.8822 0.6399  1 O 1.02
H23 0.8347 0.3822 0.3601  1 O 1.02
H24 0.3347 0.1178 0.1399  1 O 1.02
H25 0.9373 0.9898 0.3072  1 O 0.99
H26 0.4373 0.5102 0.1928  1 O 0.99
H27 0.0627 0.0102 0.8072  1 O 0.99
H28 0.5627 0.4898 0.6928  1 O 0.99
H29 0.0627 0.0102 0.6928  1 O 0.99
H30 0.5627 0.4898 0.8072  1 O 0.99
H31 0.9373 0.9898 0.1928  1 O 0.99
H32 0.4373 0.5102 0.3072  1 O 0.99
H33 0.3253 0.3822 0.7500  2 O 1.22
H34 0.8253 0.1178 0.7500  2 O 1.22
H35 0.6747 0.6178 0.2500  2 O 1.22
H36 0.1747 0.8822 0.2500  2 O 1.22
S1 0.0147 0.2615 0.2500  4 O 1.49-1.51
S2 0.5147 0.2385 0.2500  4 O 1.49-1.51
S3 0.9853 0.7385 0.7500  4 O 1.49-1.51
S4 0.4853 0.7615 0.7500  4 O 1.49-1.51
O1 0.9710 0.8212 0.6580  1 S 1.49, 1 H 1.58
O2 0.4710 0.6788 0.8420  1 S 1.49, 1 H 1.58
O3 0.0290 0.1788 0.1580  1 S 1.49, 1 H 1.58
O4 0.5290 0.3212 0.3420  1 S 1.49, 1 H 1.58
O5 0.0290 0.1788 0.3420  1 S 1.49, 1 H 1.58
O6 0.5290 0.3212 0.1580  1 S 1.49, 1 H 1.58
O7 0.9710 0.8212 0.8420  1 S 1.49, 1 H 1.58
O8 0.4710 0.6788 0.6580  1 S 1.49, 1 H 1.58
O9 0.8634 0.3253 0.2500  1 S 1.51, 2 H 1.59
O10 0.3634 0.1747 0.2500  1 S 1.51, 2 H 1.59
O11 0.1366 0.6747 0.7500  1 S 1.51, 2 H 1.59
O12 0.6366 0.8253 0.7500  1 S 1.51, 2 H 1.59
O13 0.6283 0.1326 0.2500  1 S 1.49
O14 0.1283 0.3674 0.2500  1 S 1.49
O15 0.3717 0.8674 0.7500  1 S 1.49
O16 0.8717 0.6326 0.7500  1 S 1.49
O17 0.6210 0.8788 0.3983  1 B 1.35
O18 0.1210 0.6212 0.1017  1 B 1.35
O19 0.3790 0.1212 0.8983  1 B 1.35
O20 0.8790 0.3788 0.6017  1 B 1.35
O21 0.3790 0.1212 0.6017  1 B 1.35
O22 0.8790 0.3788 0.8983  1 B 1.35
O23 0.6210 0.8788 0.1017  1 B 1.35
O24 0.1210 0.6212 0.3983  1 B 1.35
O25 0.8219 0.1207 0.6582  1 H 0.98
O26 0.3219 0.3793 0.8418  1 H 0.98
O27 0.1781 0.8793 0.1582  1 H 0.98
O28 0.6781 0.6207 0.3418  1 H 0.98
O29 0.1781 0.8793 0.3418  1 H 0.98
O30 0.6781 0.6207 0.1582  1 H 0.98
O31 0.8219 0.1207 0.8418  1 H 0.98
O32 0.3219 0.3793 0.6582  1 H 0.98
O33 0.6753 0.2817 0.5088  1 H 1.02
O34 0.1753 0.2183 0.9912  1 H 1.02
O35 0.3247 0.7183 0.0088  1 H 1.02
O36 0.8247 0.7817 0.4912  1 H 1.02
O37 0.3247 0.7183 0.4912  1 H 1.02
O38 0.8247 0.7817 0.0088  1 H 1.02
O39 0.6753 0.2817 0.9912  1 H 1.02
O40 0.1753 0.2183 0.5088  1 H 1.02
O41 0.1171 0.0492 0.7500  2 H 0.99
O42 0.6171 0.4508 0.7500  2 H 0.99
O43 0.8829 0.9508 0.2500  2 H 0.99
O44 0.3829 0.5492 0.2500  2 H 0.99
O45 0.1451 0.5746 0.5716  1 H 1.02
O46 0.6451 0.9254 0.9284  1 H 1.02
O47 0.8549 0.4254 0.0716  1 H 1.02
O48 0.3549 0.0746 0.4284  1 H 1.02
O49 0.8549 0.4254 0.4284  1 H 1.02
O50 0.3549 0.0746 0.0716  1 H 1.02
O51 0.1451 0.5746 0.9284  1 H 1.02
O52 0.6451 0.9254 0.5716  1 H 1.02
F1 0.0494 0.3725 0.7500  3 Mg 1.99-2.00
F2 0.5494 0.1275 0.7500  3 Mg 1.99-2.00
F3 0.9506 0.6275 0.2500  3 Mg 1.99-2.00
F4 0.4506 0.8725 0.2500  3 Mg 1.99-2.00

***

DFT (PBE-GGA) results for Mg3B2H9SO13F after structural relaxation.

MP2020-corrected energy	-5.868	eV per atom
symmetry	Pnma, No. 62
size of the total moment	0.07	μB/atom
excess energy over the best structure of this formula in the dataset	282	meV per atom

abc: 8.5265 10.2680 13.1070
angles: 90.00 90.00 90.00
Last column: nearest neighbours and their distance in Å.
Sites, in units of the cell vectors:
Mg1 0.0044 0.6540 0.2500  1 F 1.97, 4 O 2.00-2.14
Mg2 0.4956 0.1540 0.2500  1 F 1.97, 4 O 2.00-2.14
Mg3 0.9956 0.3460 0.7500  1 F 1.97, 4 O 2.00-2.14
Mg4 0.5044 0.8460 0.7500  1 F 1.97, 4 O 2.00-2.14
Mg5 0.1083 0.5772 0.6084  1 F 1.95, 3 O 2.00-2.15
Mg6 0.3917 0.0772 0.8916  1 F 1.95, 3 O 2.00-2.15
Mg7 0.8917 0.4228 0.1084  1 F 1.95, 3 O 2.00-2.15
Mg8 0.6083 0.9228 0.3916  1 F 1.95, 3 O 2.00-2.15
Mg9 0.8917 0.4228 0.3916  1 F 1.95, 3 O 2.00-2.15
Mg10 0.6083 0.9228 0.1084  1 F 1.95, 3 O 2.00-2.15
Mg11 0.1083 0.5772 0.8916  1 F 1.95, 3 O 2.00-2.15
Mg12 0.3917 0.0772 0.6084  1 F 1.95, 3 O 2.00-2.15
B1 0.3630 0.8056 0.5187  3 O 1.34-1.43
B2 0.1370 0.3056 0.9813  3 O 1.34-1.43
B3 0.6370 0.1944 0.0187  3 O 1.34-1.43
B4 0.8630 0.6944 0.4813  3 O 1.34-1.43
B5 0.6370 0.1944 0.4813  3 O 1.34-1.43
B6 0.8630 0.6944 0.0187  3 O 1.34-1.43
B7 0.3630 0.8056 0.9813  3 O 1.34-1.43
B8 0.1370 0.3056 0.5187  3 O 1.34-1.43
H1 0.6867 0.5969 0.2793  1 H 0.77
H2 0.8133 0.0969 0.2207  1 H 0.77
H3 0.3133 0.4031 0.7793  1 H 0.77
H4 0.1867 0.9031 0.7207  1 H 0.77
H5 0.3133 0.4031 0.7207  1 H 0.77
H6 0.1867 0.9031 0.7793  1 H 0.77
H7 0.6867 0.5969 0.2207  1 H 0.77
H8 0.8133 0.0969 0.2793  1 H 0.77
H9 0.3578 0.6252 0.4594  1 O 0.99
H10 0.1422 0.1252 0.0406  1 O 0.99
H11 0.6422 0.3748 0.9594  1 O 0.99
H12 0.8578 0.8748 0.5406  1 O 0.99
H13 0.6422 0.3748 0.5406  1 O 0.99
H14 0.8578 0.8748 0.9594  1 O 0.99
H15 0.3578 0.6252 0.0406  1 O 0.99
H16 0.1422 0.1252 0.4594  1 O 0.99
H17 0.3114 0.8407 0.1378  1 O 1.02
H18 0.1886 0.3407 0.3622  1 O 1.02
H19 0.6886 0.1593 0.6378  1 O 1.02
H20 0.8114 0.6593 0.8622  1 O 1.02
H21 0.6886 0.1593 0.8622  1 O 1.02
H22 0.8114 0.6593 0.6378  1 O 1.02
H23 0.3114 0.8407 0.3622  1 O 1.02
H24 0.1886 0.3407 0.1378  1 O 1.02
H25 0.9144 0.8739 0.3081  1 O 1.00
H26 0.5856 0.3739 0.1919  1 O 1.00
H27 0.0856 0.1261 0.8081  1 O 1.00
H28 0.4144 0.6261 0.6919  1 O 1.00
H29 0.0856 0.1261 0.6919  1 O 1.00
H30 0.4144 0.6261 0.8081  1 O 1.00
H31 0.9144 0.8739 0.1919  1 O 1.00
H32 0.5856 0.3739 0.3081  1 O 1.00
H33 0.4469 0.2561 0.7500  2 O 1.23
H34 0.0531 0.7561 0.7500  2 O 1.23
H35 0.5531 0.7439 0.2500  2 O 1.23
H36 0.9469 0.2439 0.2500  2 O 1.23
S1 0.1548 0.9812 0.2500  4 O 1.47-1.54
S2 0.3452 0.4812 0.2500  4 O 1.47-1.54
S3 0.8452 0.0188 0.7500  4 O 1.47-1.54
S4 0.6548 0.5188 0.7500  4 O 1.47-1.54
O1 0.9393 0.0098 0.6548  1 S 1.49
O2 0.5607 0.5098 0.8452  1 S 1.49
O3 0.0607 0.9902 0.1548  1 S 1.49
O4 0.4393 0.4902 0.3452  1 S 1.49
O5 0.0607 0.9902 0.3452  1 S 1.49
O6 0.4393 0.4902 0.1548  1 S 1.49
O7 0.9393 0.0098 0.8452  1 S 1.49
O8 0.5607 0.5098 0.6548  1 S 1.49
O9 0.2270 0.8438 0.2500  1 S 1.54, 2 H 1.64
O10 0.2730 0.3438 0.2500  1 S 1.54, 2 H 1.64
O11 0.7730 0.1562 0.7500  1 S 1.54, 2 H 1.64
O12 0.7270 0.6562 0.7500  1 S 1.54, 2 H 1.64
O13 0.2221 0.5820 0.2500  1 S 1.47
O14 0.2779 0.0820 0.2500  1 S 1.47
O15 0.7779 0.4180 0.7500  1 S 1.47
O16 0.7221 0.9180 0.7500  1 S 1.47
O17 0.9147 0.6255 0.4011  1 B 1.34
O18 0.5853 0.1255 0.0989  1 B 1.34
O19 0.0853 0.3745 0.9011  1 B 1.34
O20 0.4147 0.8745 0.5989  1 B 1.34
O21 0.0853 0.3745 0.5989  1 B 1.34
O22 0.4147 0.8745 0.9011  1 B 1.34
O23 0.9147 0.6255 0.0989  1 B 1.34
O24 0.5853 0.1255 0.4011  1 B 1.34
O25 0.0737 0.7595 0.6573  1 H 1.23
O26 0.4263 0.2595 0.8427  1 H 1.23
O27 0.9263 0.2405 0.1573  1 H 1.23
O28 0.5737 0.7405 0.3427  1 H 1.23
O29 0.9263 0.2405 0.3427  1 H 1.23
O30 0.5737 0.7405 0.1573  1 H 1.23
O31 0.0737 0.7595 0.8427  1 H 1.23
O32 0.4263 0.2595 0.6573  1 H 1.23
O33 0.3130 0.6724 0.5187  1 H 0.99
O34 0.1870 0.1724 0.9813  1 H 0.99
O35 0.6870 0.3276 0.0187  1 H 0.99
O36 0.8130 0.8276 0.4813  1 H 0.99
O37 0.6870 0.3276 0.4813  1 H 0.99
O38 0.8130 0.8276 0.0187  1 H 0.99
O39 0.3130 0.6724 0.9813  1 H 0.99
O40 0.1870 0.1724 0.5187  1 H 0.99
O41 0.1259 0.1793 0.7500  2 H 1.00
O42 0.3741 0.6793 0.7500  2 H 1.00
O43 0.8741 0.8207 0.2500  2 H 1.00
O44 0.6259 0.3207 0.2500  2 H 1.00
O45 0.6310 0.1271 0.5746  1 H 1.02
O46 0.8690 0.6271 0.9254  1 H 1.02
O47 0.3690 0.8729 0.0746  1 H 1.02
O48 0.1310 0.3729 0.4254  1 H 1.02
O49 0.3690 0.8729 0.4254  1 H 1.02
O50 0.1310 0.3729 0.0746  1 H 1.02
O51 0.6310 0.1271 0.9254  1 H 1.02
O52 0.8690 0.6271 0.5746  1 H 1.02
F1 0.4324 0.0282 0.7500  3 Mg 1.95-1.97
F2 0.0676 0.5282 0.7500  3 Mg 1.95-1.97
F3 0.5676 0.9718 0.2500  3 Mg 1.95-1.97
F4 0.9324 0.4718 0.2500  3 Mg 1.95-1.97

***

DFT (PBE-GGA) results for NdB2HF10 after structural relaxation.

MP2020-corrected energy	-6.242	eV per atom
symmetry	P2_1/m, No. 11
size of the total moment	0.00	μB/atom

abc: 5.8863 7.0779 8.8155
angles: 67.46 90.00 90.00
Last column: nearest neighbours and their distance in Å.
Sites, in units of the cell vectors:
Nd1 0.7500 0.2326 0.3435  7 F 2.24-2.51
Nd2 0.2500 0.7674 0.6565  7 F 2.24-2.51
B1 0.2500 0.2517 0.0494  4 F 1.41-1.42
B2 0.2500 0.5861 0.3051  4 F 1.37-1.44
B3 0.7500 0.4139 0.6949  4 F 1.37-1.44
B4 0.7500 0.7483 0.9506  4 F 1.41-1.42
H1 0.7500 0.9280 0.1527  1 F 0.98
H2 0.2500 0.0720 0.8473  1 F 0.98
F1 0.2500 0.0719 0.0151  1 B 1.42, 1 H 1.48
F2 0.7500 0.5766 0.1003  1 B 1.41
F3 0.2500 0.6658 0.1364  1 B 1.37
F4 0.4455 0.2529 0.1430  1 B 1.42
F5 0.0545 0.2529 0.1430  1 B 1.42
F6 0.7500 0.9279 0.2635  1 H 0.98
F7 0.2500 0.7397 0.3725  1 B 1.43
F8 0.4472 0.4591 0.3664  1 B 1.44
F9 0.0528 0.4591 0.3664  1 B 1.44
F10 0.0000 0.0000 0.5000  2 Nd 2.24
F11 0.5000 0.0000 0.5000  2 Nd 2.24
F12 0.9472 0.5409 0.6336  1 B 1.44
F13 0.5528 0.5409 0.6336  1 B 1.44
F14 0.7500 0.2603 0.6275  1 B 1.43
F15 0.2500 0.0721 0.7365  1 H 0.98
F16 0.9455 0.7471 0.8570  1 B 1.42
F17 0.5545 0.7471 0.8570  1 B 1.42
F18 0.7500 0.3342 0.8636  1 B 1.37
F19 0.2500 0.4234 0.8997  1 B 1.41
F20 0.7500 0.9281 0.9849  1 B 1.42, 1 H 1.48

***

> What is the formula in the first record?

Mg3B2H9SO13F